[1]
{"formula": "SrZrSi2O7", "functional": "PBE", "state": "optimized geometry", "corrected_energy_ev_per_atom": -8.5703, "total_magnetization_mub_per_cell": 0.000, "space_group": "P2_1/c", "lattice": [[-2.2923, -7.8138, 1.0043], [-0.8036, -0.7641, -7.7793], [8.6502, -3.1045, -4.4100]], "species": ["Si", "Si", "Si", "Si", "Si", "Si", "Si", "Si", "O", "O", "O", "O", "O", "O", "O", "O", "O", "O", "O", "O", "O", "O", "O", "O", "O", "O", "O", "O", "O", "O", "O", "O", "O", "O", "O", "O", "Zr", "Zr", "Zr", "Zr", "Sr", "Sr", "Sr", "Sr"], "fractional_positions": [[0.7850, 0.3255, 0.4589], [0.2490, 0.0643, 0.5425], [0.2850, 0.6745, 0.0411], [0.2150, 0.6745, 0.5411], [0.7490, 0.9357, 0.9575], [0.7150, 0.3255, 0.9589], [0.2510, 0.0643, 0.0425], [0.7510, 0.9357, 0.4575], [0.5927, 0.4748, 0.8493], [0.7946, 0.3047, 0.6239], [0.2713, 0.1884, 0.3756], [0.1345, 0.1710, 0.6169], [0.2946, 0.6953, 0.8761], [0.7713, 0.8116, 0.1244], [0.4073, 0.5252, 0.1507], [0.0948, 0.6298, 0.0958], [0.9052, 0.3702, 0.9042], [0.8432, 0.1329, 0.4372], [0.4052, 0.6298, 0.5958], [0.9073, 0.4748, 0.3493], [0.0793, 0.0122, 0.1311], [0.3655, 0.1710, 0.1169], [0.4207, 0.0122, 0.6311], [0.2287, 0.1884, 0.8756], [0.6568, 0.1329, 0.9372], [0.7054, 0.3047, 0.1239], [0.8655, 0.8290, 0.3831], [0.5948, 0.3702, 0.4042], [0.2054, 0.6953, 0.3761], [0.5793, 0.9878, 0.3689], [0.1568, 0.8671, 0.5628], [0.0927, 0.5252, 0.6507], [0.6345, 0.8290, 0.8831], [0.7287, 0.8116, 0.6244], [0.3432, 0.8671, 0.0628], [0.9207, 0.9878, 0.8689], [0.0111, 0.2562, 0.7530], [0.5111, 0.7438, 0.7470], [0.9889, 0.7438, 0.2470], [0.4889, 0.2562, 0.2530], [0.4827, 0.2831, 0.7071], [0.5173, 0.7169, 0.2929], [0.0173, 0.2831, 0.2071], [0.9827, 0.7169, 0.7929]]}


[2]
{"formula": "Na2CaMgS3O12", "functional": "PBE", "state": "optimized geometry", "corrected_energy_ev_per_atom": -6.5071, "total_magnetization_mub_per_cell": 0.000, "space_group": "P1", "lattice": [[9.0566, -0.0046, 0.0073], [-4.5325, 7.8040, -0.0080], [0.0184, -0.0126, 23.2677]], "species": ["O", "O", "O", "O", "O", "O", "O", "O", "O", "O", "O", "O", "O", "O", "O", "O", "O", "O", "O", "O", "O", "O", "O", "O", "O", "O", "O", "O", "O", "O", "O", "O", "O", "O", "O", "O", "O", "O", "O", "O", "O", "O", "O", "O", "O", "O", "O", "O", "O", "O", "O", "O", "O", "O", "O", "O", "O", "O", "O", "O", "O", "O", "O", "O", "O", "O", "O", "O", "O", "O", "O", "O", "Na", "Na", "Na", "Na", "Na", "Na", "Na", "Na", "Na", "Na", "Na", "Na", "S", "S", "S", "S", "S", "S", "S", "S", "S", "S", "S", "S", "S", "S", "S", "S", "S", "S", "Ca", "Ca", "Ca", "Ca", "Ca", "Ca", "Mg", "Mg", "Mg", "Mg", "Mg", "Mg"], "fractional_positions": [[0.7847, 0.8074, 0.1984], [0.2982, 0.4421, 0.4622], [0.8494, 0.3151, 0.2432], [0.4388, 0.2971, 0.0384], [0.5374, 0.8448, 0.7480], [0.0030, 0.1836, 0.9151], [0.8044, 0.8293, 0.9128], [0.8506, 0.3368, 0.9184], [0.3427, 0.4716, 0.3582], [0.9649, 0.7723, 0.7958], [0.3370, 0.8593, 0.5855], [0.1288, 0.4894, 0.5835], [0.9762, 0.1937, 0.3048], [0.4335, 0.1280, 0.5335], [0.1431, 0.6781, 0.7463], [0.4959, 0.1382, 0.9206], [0.1968, 0.2047, 0.6958], [0.5415, 0.6553, 0.8596], [0.0078, 0.8030, 0.6921], [0.5669, 0.8716, 0.4657], [0.8072, 0.7848, 0.3017], [0.5266, 0.6791, 0.2557], [0.1940, 0.9761, 0.1954], [0.3508, 0.8773, 0.8692], [0.5121, 0.8712, 0.0859], [0.6953, 0.1278, 0.0309], [0.9820, 0.1770, 0.5934], [0.4659, 0.1604, 0.2440], [0.1106, 0.4561, 0.8645], [0.3145, 0.8484, 0.2570], [0.8704, 0.3057, 0.5294], [0.5440, 0.6844, 0.9642], [0.3311, 0.4746, 0.7462], [0.1653, 0.1927, 0.4039], [0.2071, 0.0283, 0.2986], [0.1847, 0.0123, 0.5935], [0.7938, 0.0278, 0.8032], [0.2371, 0.2086, 0.7992], [0.4766, 0.3465, 0.4138], [0.6546, 0.5163, 0.9175], [0.8146, 0.9862, 0.4051], [0.1227, 0.4447, 0.9689], [0.0193, 0.8238, 0.4053], [0.4834, 0.3217, 0.7388], [0.6844, 0.1570, 0.7389], [0.8750, 0.5705, 0.0348], [0.1300, 0.6951, 0.4698], [0.8336, 0.8085, 0.5943], [0.6625, 0.1397, 0.4138], [0.1837, 0.9885, 0.9159], [0.8623, 0.3478, 0.6328], [0.4699, 0.1274, 0.6371], [0.8238, 0.0186, 0.0956], [0.5226, 0.6540, 0.5852], [0.5288, 0.8713, 0.3620], [0.8323, 0.5234, 0.7379], [0.0281, 0.2071, 0.2015], [0.8720, 0.5111, 0.4157], [0.1916, 0.1647, 0.0970], [0.1604, 0.4664, 0.2562], [0.6574, 0.5302, 0.6406], [0.1388, 0.6524, 0.3662], [0.1399, 0.6636, 0.0877], [0.7008, 0.5575, 0.5368], [0.6789, 0.5259, 0.2443], [0.4712, 0.3412, 0.1423], [0.8707, 0.5288, 0.1383], [0.6541, 0.1404, 0.1342], [0.3459, 0.4766, 0.0878], [0.3219, 0.8745, 0.9738], [0.8057, 0.9869, 0.7000], [0.9873, 0.8167, 0.0958], [0.3335, 0.6667, 0.6661], [0.0275, 0.6959, 0.5856], [0.3332, 0.6678, 0.1693], [0.6676, 0.3331, 0.3313], [0.9991, 0.0001, 0.0013], [0.6668, 0.3325, 0.8324], [0.6926, 0.0259, 0.9166], [0.9720, 0.3038, 0.4138], [0.0000, 0.9999, 0.4997], [0.6394, 0.6378, 0.7476], [0.3638, 0.3638, 0.2500], [0.3042, 0.9723, 0.0864], [0.3083, 0.2980, 0.7444], [0.3601, 0.0362, 0.5879], [0.3634, 0.3227, 0.0917], [0.3237, 0.3648, 0.4092], [0.9588, 0.3264, 0.5853], [0.7036, 0.7037, 0.2501], [0.9898, 0.6957, 0.7427], [0.0258, 0.3594, 0.9168], [0.6345, 0.6682, 0.9136], [0.0421, 0.6742, 0.4137], [0.3350, 0.9680, 0.9198], [0.2935, 0.0000, 0.2489], [0.9639, 0.6411, 0.0898], [0.0002, 0.2936, 0.2513], [0.6749, 0.0415, 0.0872], [0.6757, 0.6360, 0.5895], [0.7073, 0.0076, 0.7470], [0.6394, 0.9627, 0.4111], [0.3197, 0.6620, 0.8136], [0.6532, 0.3284, 0.4826], [0.3466, 0.6715, 0.5165], [0.0137, 0.0050, 0.8462], [0.3291, 0.6530, 0.0202], [0.6714, 0.3470, 0.9876], [0.9881, 0.9960, 0.1543], [0.0034, 0.0115, 0.6511], [0.6632, 0.3220, 0.6814], [0.3371, 0.6793, 0.3159], [0.6795, 0.3377, 0.1846], [0.9962, 0.9881, 0.3460]]}


[3]
{"formula": "Tl4SiSe4", "functional": "PBE", "state": "optimized geometry", "corrected_energy_ev_per_atom": -3.8799, "space_group": "C2/c", "lattice": [[3.1998, -6.3792, -0.4355], [4.0116, -1.9821, 5.5768], [-17.3604, -13.6421, 12.3214]], "species": ["Tl", "Tl", "Tl", "Tl", "Tl", "Tl", "Tl", "Tl", "Tl", "Tl", "Tl", "Tl", "Tl", "Tl", "Tl", "Tl", "Se", "Se", "Se", "Se", "Se", "Se", "Se", "Se", "Se", "Se", "Se", "Se", "Se", "Se", "Se", "Se", "Si", "Si", "Si", "Si"], "fractional_positions": [[0.8249, 0.1751, 0.7500], [0.6751, 0.0942, 0.3250], [0.3380, 0.0524, 0.8364], [0.3249, 0.9058, 0.6750], [0.0000, 0.0000, 0.0000], [0.6620, 0.9476, 0.1636], [0.7212, 0.6494, 0.5001], [0.0000, 0.0000, 0.5000], [0.0942, 0.6751, 0.8250], [0.9058, 0.3249, 0.1750], [0.0524, 0.3380, 0.3364], [0.9476, 0.6620, 0.6636], [0.3506, 0.2788, 0.9999], [0.1751, 0.8249, 0.2500], [0.6494, 0.7212, 0.0001], [0.2788, 0.3506, 0.4999], [0.1089, 0.7048, 0.3817], [0.5876, 0.0322, 0.5827], [0.3403, 0.6252, 0.5777], [0.3988, 0.3055, 0.7087], [0.6252, 0.3403, 0.0777], [0.4124, 0.9678, 0.4173], [0.3748, 0.6597, 0.9223], [0.8911, 0.2952, 0.6183], [0.7048, 0.1089, 0.8817], [0.9678, 0.4124, 0.9173], [0.6597, 0.3748, 0.4223], [0.2952, 0.8911, 0.1183], [0.3055, 0.3988, 0.2087], [0.6945, 0.6012, 0.7913], [0.0322, 0.5876, 0.0827], [0.6012, 0.6945, 0.2913], [0.4404, 0.6865, 0.3765], [0.6865, 0.4404, 0.8765], [0.5596, 0.3135, 0.6235], [0.3135, 0.5596, 0.1235]]}


[4]
{"formula": "ErCu4Ag", "functional": "PBE", "state": "optimized geometry", "space_group": "F-43m", "lattice": [[0.0931, -4.8889, -1.1710], [-3.8620, -2.0681, -2.4677], [0.5518, -1.4279, -4.7894]], "species": ["Ag", "Cu", "Cu", "Cu", "Cu", "Er"], "fractional_positions": [[0.2500, 0.2500, 0.2500], [0.6242, 0.6242, 0.6242], [0.6242, 0.6242, 0.1273], [0.6242, 0.1273, 0.6242], [0.1273, 0.6242, 0.6242], [0.0000, 0.0000, 0.0000]]}


[5]
{"formula": "Li3Al", "functional": "PBE", "state": "optimized geometry", "space_group": "I4/mmm", "lattice": [[-1.9584, 1.9584, 4.3914], [1.9584, -1.9584, 4.3914], [1.9584, 1.9584, -4.3914]], "species": ["Li", "Li", "Li", "Al"], "fractional_positions": [[0.5000, 0.5000, 0.0000], [0.7500, 0.2500, 0.5000], [0.2500, 0.7500, 0.5000], [0.0000, 0.0000, 0.0000]]}


[6]
{"formula": "InGaS3", "functional": "PBE", "state": "optimized geometry", "corrected_energy_ev_per_atom": -4.4843, "total_magnetization_mub_per_cell": 0.003, "space_group": "P1", "lattice": [[6.7564, 0.0000, 0.0000], [3.3775, 5.8527, 0.0000], [1.2698, 1.9540, 15.4063]], "species": ["Ga", "Ga", "Ga", "Ga", "Ga", "S", "S", "S", "S", "S", "S", "S", "S", "S", "S", "S", "S", "S", "S", "S", "In", "In", "In", "In", "In"], "fractional_positions": [[0.6672, 0.5188, 0.4468], [0.0074, 0.5698, 0.2541], [0.3285, 0.9254, 0.2544], [0.3307, 0.7504, 0.7589], [0.0017, 0.8490, 0.4469], [0.9819, 0.5215, 0.4882], [0.3333, 0.8203, 0.4858], [0.6633, 0.3054, 0.0917], [0.3320, 0.2387, 0.2810], [0.0046, 0.8950, 0.2857], [0.3270, 0.7036, 0.9070], [0.6666, 0.0227, 0.9106], [0.0105, 0.3617, 0.9106], [0.9958, 0.6395, 0.0909], [0.3304, 0.9668, 0.0912], [0.3342, 0.0783, 0.6884], [0.6638, 0.5796, 0.2855], [0.6418, 0.4624, 0.6927], [0.6883, 0.1708, 0.4868], [0.0273, 0.7707, 0.6898], [0.0023, 0.4166, 0.7493], [0.9884, 0.0089, 0.0070], [0.6653, 0.0824, 0.7493], [0.3415, 0.3297, 0.0089], [0.6664, 0.6557, 0.0063]]}


[7]
{"formula": "Ba6MgSc2C2O6F14", "functional": "PBE", "state": "optimized geometry", "corrected_energy_ev_per_atom": -6.7303, "total_magnetization_mub_per_cell": 0.000, "space_group": "Pm", "polymorph_energy_mev_per_atom": 103, "lattice": [[-4.7380, -3.7068, 1.1552], [-0.1584, -2.4599, -8.5430], [6.3176, -7.1543, 2.9549]], "species": ["F", "F", "F", "F", "F", "F", "F", "F", "F", "F", "F", "F", "F", "F", "Ba", "Ba", "Ba", "Ba", "Ba", "Ba", "Mg", "Sc", "Sc", "C", "C", "O", "O", "O", "O", "O", "O"], "fractional_positions": [[0.0234, 0.0813, 0.6200], [0.9764, 0.3275, 0.8025], [0.4939, 0.8074, 0.8369], [0.5009, 0.1748, 0.2550], [0.7500, 0.9142, 0.1187], [0.9991, 0.1748, 0.2550], [0.4820, 0.8574, 0.3275], [0.5160, 0.6373, 0.1205], [0.0180, 0.8574, 0.3275], [0.2500, 0.0994, 0.8625], [0.0061, 0.8074, 0.8369], [0.5236, 0.3275, 0.8025], [0.4766, 0.0813, 0.6200], [0.9840, 0.6373, 0.1205], [0.2500, 0.8929, 0.0936], [0.7500, 0.0397, 0.8178], [0.2500, 0.8161, 0.5973], [0.7500, 0.5760, 0.8728], [0.7500, 0.2223, 0.4684], [0.2500, 0.4090, 0.1993], [0.7500, 0.1582, 0.1318], [0.7500, 0.7422, 0.2690], [0.2500, 0.2489, 0.7172], [0.7500, 0.5876, 0.4842], [0.2500, 0.4597, 0.5418], [0.2500, 0.5088, 0.6674], [0.7500, 0.5058, 0.5823], [0.2500, 0.5482, 0.4471], [0.2500, 0.3118, 0.5113], [0.7500, 0.7342, 0.4998], [0.7500, 0.5250, 0.3574]]}


[8]
{"formula": "KNaSi2O5", "functional": "PBE", "state": "optimized geometry", "corrected_energy_ev_per_atom": -7.1339, "total_magnetization_mub_per_cell": 0.003, "space_group": "P2_1/c", "lattice": [[-6.8411, -10.5841, 5.5287], [1.3091, -2.8297, -3.7974], [6.3055, -2.1973, 3.5959]], "species": ["Si", "Si", "Si", "Si", "Si", "Si", "Si", "Si", "Na", "Na", "Na", "Na", "O", "O", "O", "O", "O", "O", "O", "O", "O", "O", "O", "O", "O", "O", "O", "O", "O", "O", "O", "O", "K", "K", "K", "K"], "fractional_positions": [[0.5486, 0.1980, 0.7158], [0.0486, 0.8020, 0.7842], [0.4514, 0.8020, 0.2842], [0.6303, 0.7043, 0.5147], [0.8697, 0.7043, 0.0147], [0.9514, 0.1980, 0.2158], [0.3697, 0.2957, 0.4853], [0.1303, 0.2957, 0.9853], [0.4060, 0.2766, 0.0282], [0.9060, 0.7234, 0.4718], [0.5940, 0.7234, 0.9718], [0.0940, 0.2766, 0.5282], [0.7411, 0.7811, 0.4915], [0.3853, 0.6226, 0.4287], [0.0730, 0.7489, 0.5828], [0.7589, 0.7811, 0.9915], [0.5730, 0.2511, 0.9172], [0.9307, 0.7482, 0.8243], [0.1147, 0.6226, 0.9287], [0.4270, 0.7489, 0.0828], [0.4299, 0.1253, 0.3327], [0.5701, 0.8747, 0.6673], [0.6147, 0.3774, 0.5713], [0.4307, 0.2518, 0.6757], [0.9299, 0.8747, 0.1673], [0.9270, 0.2511, 0.4172], [0.0701, 0.1253, 0.8327], [0.2589, 0.2189, 0.5085], [0.8853, 0.3774, 0.0713], [0.2411, 0.2189, 0.0085], [0.5693, 0.7482, 0.3243], [0.0693, 0.2518, 0.1757], [0.2994, 0.8006, 0.7880], [0.2006, 0.8006, 0.2880], [0.7994, 0.1994, 0.7120], [0.7006, 0.1994, 0.2120]]}


[9]
{"formula": "Ca2In3Cu", "functional": "PBE", "state": "optimized geometry", "total_magnetization_mub_per_cell": 0.000, "space_group": "Cm", "lattice": [[0.1125, 2.1800, -4.2424], [2.1926, 5.7647, 0.3377], [5.3574, -2.5289, 1.5253]], "species": ["Ca", "Ca", "In", "In", "In", "Cu"], "fractional_positions": [[0.2497, 0.2951, 0.7944], [0.7500, 0.7090, 0.2090], [0.0517, 0.1308, 0.2342], [0.9373, 0.9036, 0.7782], [0.4610, 0.6813, 0.6034], [0.5504, 0.2801, 0.3809]]}


[10]
{"formula": "Na2ZnSi2O6", "functional": "PBE", "state": "optimized geometry", "corrected_energy_ev_per_atom": -6.7564, "e_ij_max_c_m2": 1.2, "total_magnetization_mub_per_cell": 0.000, "space_group": "Fdd2", "polymorph_energy_mev_per_atom": 0, "lattice": [[0.0000, 3.7741, 10.8292], [3.6069, 0.0000, 10.8292], [3.6069, 3.7741, 0.0000]], "species": ["O", "O", "O", "O", "O", "O", "O", "O", "O", "O", "O", "O", "Na", "Na", "Na", "Na", "Si", "Si", "Si", "Si", "Zn", "Zn"], "fractional_positions": [[0.5900, 0.9459, 0.1165], [0.5045, 0.6518, 0.2533], [0.9215, 0.8376, 0.9613], [0.3041, 0.6600, 0.9024], [0.2533, 0.5904, 0.5045], [0.6596, 0.9967, 0.5982], [0.9024, 0.1335, 0.3041], [0.5982, 0.7455, 0.6596], [0.1165, 0.3476, 0.5900], [0.9613, 0.2796, 0.9215], [0.9704, 0.2887, 0.4124], [0.4124, 0.3285, 0.9704], [0.0709, 0.5843, 0.3828], [0.6657, 0.1791, 0.2880], [0.2880, 0.8672, 0.6657], [0.3828, 0.9620, 0.0709], [0.6429, 0.0236, 0.9036], [0.2264, 0.6071, 0.8201], [0.8201, 0.3464, 0.2264], [0.9036, 0.4299, 0.6429], [0.4986, 0.0014, 0.4986], [0.2486, 0.7514, 0.2486]]}


[11]
{"formula": "LiCr2S4", "functional": "PBE", "state": "optimized geometry", "corrected_energy_ev_per_atom": -6.2929, "total_magnetization_mub_per_cell": 8.938, "space_group": "Pnma", "polymorph_energy_mev_per_atom": 195, "lattice": [[-4.1846, -2.9184, 1.7936], [4.3799, -6.8173, -0.8740], [4.3357, 1.2318, 12.1198]], "species": ["Cr", "Cr", "Cr", "Cr", "Cr", "Cr", "Cr", "Cr", "S", "S", "S", "S", "S", "S", "S", "S", "S", "S", "S", "S", "S", "S", "S", "S", "Li", "Li", "Li", "Li"], "fractional_positions": [[0.3662, 0.7500, 0.4235], [0.1338, 0.2500, 0.9235], [0.9776, 0.2500, 0.7322], [0.0224, 0.7500, 0.2678], [0.8662, 0.7500, 0.0765], [0.4776, 0.2500, 0.7678], [0.6338, 0.2500, 0.5765], [0.5224, 0.7500, 0.2322], [0.2614, 0.7500, 0.0934], [0.2386, 0.2500, 0.5934], [0.2603, 0.7500, 0.5793], [0.7614, 0.7500, 0.4066], [0.2197, 0.4554, 0.8218], [0.7197, 0.0446, 0.6782], [0.7197, 0.4554, 0.6782], [0.2197, 0.0446, 0.8218], [0.7803, 0.9554, 0.1782], [0.2397, 0.2500, 0.0793], [0.7397, 0.2500, 0.4207], [0.7803, 0.5446, 0.1782], [0.2803, 0.5446, 0.3218], [0.7603, 0.7500, 0.9207], [0.7386, 0.2500, 0.9066], [0.2803, 0.9554, 0.3218], [0.7309, 0.2500, 0.1034], [0.2309, 0.2500, 0.3966], [0.2691, 0.7500, 0.8966], [0.7691, 0.7500, 0.6034]]}


| no. | ΔH_f (0 K) (meV per atom) | electronic total energy (eV/atom) |
| --- | --- | --- |
| 1 | -3505 | -8.133 |
| 2 | -2400 | -6.073 |
| 3 | -673 | -3.670 |
| 4 | -244 | -4.210 |
| 5 | -80 | -2.448 |
| 6 | -846 | -4.182 |
| 7 | -3481 | -6.389 |
| 8 | -2909 | -6.752 |
| 9 | -348 | -3.076 |
| 10 | -2716 | -6.382 |
| 11 | -899 | -6.006 |